Entry 1:
Density functional theory data (PBE+U) for an optimized crystal structure of KFeF4.

The calculation puts the total energy at -5.030 eV/atom. The formation energy is -2.841 eV/atom. The symmetry is No. 62.

```
KFeF4
1.0
12.460 0.000 0.000
0.000 7.729 0.000
0.000 0.000 7.934
K Fe F
8 8 32
direct
0.017 0.250 0.124
0.025 0.250 0.624
0.475 0.750 0.124
0.483 0.750 0.624
0.517 0.250 0.376
0.525 0.250 0.876
0.975 0.750 0.376
0.983 0.750 0.876
0.249 0.501 0.374
0.249 0.999 0.374
0.251 0.001 0.874
0.251 0.499 0.874
0.749 0.501 0.126
0.749 0.999 0.126
0.751 0.001 0.626
0.751 0.499 0.626
0.099 0.048 0.369
0.099 0.452 0.369
0.101 0.049 0.881
0.101 0.451 0.881
0.211 0.750 0.402
0.214 0.750 0.844
0.248 0.035 0.624
0.248 0.465 0.624
0.252 0.535 0.124
0.252 0.965 0.124
0.286 0.250 0.344
0.289 0.250 0.902
0.399 0.549 0.381
0.399 0.951 0.381
0.401 0.548 0.869
0.401 0.952 0.869
0.599 0.048 0.131
0.599 0.452 0.131
0.601 0.049 0.619
0.601 0.451 0.619
0.711 0.750 0.098
0.714 0.750 0.656
0.748 0.035 0.876
0.748 0.465 0.876
0.752 0.535 0.376
0.752 0.965 0.376
0.786 0.250 0.156
0.789 0.250 0.598
0.899 0.549 0.119
0.899 0.951 0.119
0.901 0.548 0.631
0.901 0.952 0.631
```

***

Entry 2:
Density functional theory data (PBE+U) for an optimized crystal structure of Li2AlNiO4.

The size of the total moment is 12.0 Bohr magnetons per cell. The calculation puts the total energy at -5.687 eV/atom. The formation energy is -2.207 eV/atom. The symmetry is No. 33.

```
Li2AlNiO4
1.0
10.745 0.000 0.000
0.000 6.359 0.000
0.000 0.000 4.985
Li Al Ni O
8 4 4 16
direct
0.083 0.244 0.000
0.165 0.996 0.500
0.335 0.496 0.000
0.417 0.744 0.500
0.583 0.256 0.000
0.665 0.504 0.500
0.835 0.004 0.000
0.917 0.756 0.500
0.166 0.493 0.505
0.334 0.993 0.005
0.666 0.007 0.505
0.834 0.507 0.005
0.086 0.743 0.004
0.414 0.243 0.504
0.586 0.757 0.004
0.914 0.257 0.504
0.081 0.263 0.404
0.095 0.725 0.378
0.163 0.506 0.864
0.175 0.981 0.901
0.325 0.481 0.401
0.337 0.006 0.364
0.405 0.225 0.878
0.419 0.763 0.904
0.581 0.237 0.404
0.595 0.775 0.378
0.663 0.994 0.864
0.675 0.519 0.901
0.825 0.019 0.401
0.837 0.494 0.364
0.905 0.275 0.878
0.919 0.737 0.904
```

***

Entry 3:
Density functional theory data (PBE+U) for an optimized crystal structure of P3RuW2O15.

The size of the total moment is 8.0 Bohr magnetons per cell. The calculation puts the total energy at -7.369 eV/atom. The formation energy is -2.299 eV/atom. The symmetry is No. 15.

```
P3RuW2O15
1.0
18.830 -6.522 0.000
18.830 6.522 0.000
-2.034 0.000 9.412
P Ru W O
24 8 16 120
direct
0.067 0.933 0.750
0.072 0.437 0.736
0.077 0.657 0.585
0.081 0.147 0.589
0.135 0.591 0.063
0.147 0.081 0.089
0.343 0.923 0.915
0.359 0.411 0.951
0.409 0.865 0.437
0.411 0.359 0.451
0.430 0.570 0.250
0.437 0.072 0.236
0.563 0.928 0.764
0.570 0.430 0.750
0.589 0.641 0.549
0.591 0.135 0.563
0.641 0.589 0.049
0.657 0.077 0.085
0.853 0.919 0.911
0.865 0.409 0.937
0.919 0.853 0.411
0.923 0.343 0.415
0.928 0.563 0.264
0.933 0.067 0.250
0.242 0.270 0.997
0.243 0.746 0.497
0.254 0.757 0.003
0.270 0.242 0.497
0.730 0.758 0.503
0.746 0.243 0.997
0.757 0.254 0.503
0.758 0.730 0.003
0.063 0.814 0.182
0.078 0.303 0.202
0.178 0.452 0.307
0.186 0.937 0.318
0.303 0.078 0.702
0.312 0.564 0.715
0.436 0.688 0.785
0.452 0.178 0.807
0.548 0.822 0.193
0.564 0.312 0.215
0.688 0.436 0.285
0.697 0.922 0.298
0.814 0.063 0.682
0.822 0.548 0.693
0.922 0.697 0.798
0.937 0.186 0.818
0.010 0.295 0.327
0.025 0.545 0.717
0.028 0.533 0.267
0.028 0.750 0.498
0.029 0.036 0.736
0.036 0.029 0.236
0.043 0.162 0.728
0.047 0.130 0.996
0.047 0.637 0.945
0.113 0.858 0.614
0.120 0.564 0.480
0.124 0.569 0.194
0.129 0.309 0.075
0.130 0.047 0.496
0.132 0.401 0.883
0.137 0.354 0.612
0.137 0.802 0.078
0.142 0.664 0.103
0.142 0.887 0.886
0.154 0.154 0.118
0.154 0.154 0.618
0.154 0.758 0.339
0.162 0.043 0.228
0.168 0.626 0.683
0.182 0.251 0.341
0.198 0.863 0.422
0.221 0.360 0.423
0.227 0.362 0.150
0.242 0.846 0.161
0.245 0.476 0.996
0.250 0.972 0.002
0.251 0.182 0.841
0.266 0.668 0.847
0.289 0.626 0.567
0.295 0.010 0.827
0.309 0.129 0.575
0.317 0.399 0.348
0.332 0.734 0.653
0.336 0.858 0.397
0.341 0.485 0.877
0.354 0.137 0.112
0.360 0.221 0.923
0.360 0.624 0.113
0.362 0.227 0.650
0.363 0.953 0.555
0.369 0.432 0.587
0.374 0.711 0.933
0.374 0.832 0.817
0.376 0.640 0.387
0.399 0.317 0.848
0.401 0.132 0.383
0.431 0.876 0.306
0.432 0.369 0.087
0.436 0.880 0.020
0.455 0.975 0.783
0.466 0.468 0.753
0.467 0.972 0.233
0.468 0.466 0.253
0.476 0.245 0.496
0.485 0.341 0.377
0.515 0.659 0.623
0.524 0.755 0.504
0.532 0.534 0.747
0.533 0.028 0.767
0.534 0.532 0.247
0.545 0.025 0.217
0.564 0.120 0.980
0.568 0.631 0.913
0.569 0.124 0.694
0.599 0.868 0.617
0.601 0.683 0.152
0.624 0.360 0.613
0.626 0.168 0.183
0.626 0.289 0.067
0.631 0.568 0.413
0.637 0.047 0.445
0.638 0.773 0.350
0.640 0.376 0.887
0.640 0.779 0.077
0.646 0.863 0.888
0.659 0.515 0.123
0.664 0.142 0.603
0.668 0.266 0.347
0.683 0.601 0.652
0.691 0.871 0.425
0.705 0.990 0.173
0.711 0.374 0.433
0.734 0.332 0.153
0.749 0.818 0.159
0.750 0.028 0.998
0.755 0.524 0.004
0.758 0.154 0.839
0.773 0.638 0.850
0.779 0.640 0.577
0.802 0.137 0.578
0.818 0.749 0.659
0.832 0.374 0.317
0.838 0.957 0.772
0.846 0.242 0.661
0.846 0.846 0.382
0.846 0.846 0.882
0.858 0.113 0.114
0.858 0.336 0.897
0.863 0.198 0.922
0.863 0.646 0.388
0.868 0.599 0.117
0.870 0.953 0.504
0.871 0.691 0.925
0.876 0.431 0.806
0.880 0.436 0.520
0.887 0.142 0.386
0.953 0.363 0.055
0.953 0.870 0.004
0.957 0.838 0.272
0.964 0.971 0.764
0.971 0.964 0.264
0.972 0.250 0.502
0.972 0.467 0.733
0.975 0.455 0.283
0.990 0.705 0.673
```

***

Entry 4:
Density functional theory data (PBE+U) for an optimized crystal structure of Ho2MgAg2W4O16.

As for the polymorph energy (0 for the lowest one): 0 meV per atom. The size of the total moment is 0.0 Bohr magnetons per cell. The calculation puts the total energy at -7.110 eV/atom. The formation energy is -2.363 eV/atom. The symmetry is No. 1.

```
Ho2MgAg2W4O16
1.0
7.300 0.000 0.000
-2.938 6.748 0.000
-3.199 -2.366 6.732
Ho Mg Ag W O
2 1 2 4 16
direct
0.000 0.000 0.000
0.016 0.446 0.594
0.576 0.348 0.189
0.479 0.021 0.608
0.530 0.429 0.834
0.028 0.486 0.070
0.507 0.871 0.129
0.508 0.590 0.452
0.986 0.955 0.505
0.084 0.016 0.326
0.115 0.788 0.587
0.173 0.211 0.717
0.205 0.602 0.924
0.245 0.359 0.181
0.337 0.743 0.295
0.345 0.548 0.584
0.354 0.043 0.073
0.648 0.899 0.983
0.665 0.694 0.275
0.668 0.426 0.480
0.771 0.087 0.397
0.805 0.850 0.658
0.849 0.237 0.859
0.893 0.653 0.983
0.897 0.417 0.233
```

***

What did the second record say?
Density functional theory data (PBE+U) for an optimized crystal structure of Li2AlNiO4.

The size of the total moment is 12.0 Bohr magnetons per cell. The calculation puts the total energy at -5.687 eV/atom. The formation energy is -2.207 eV/atom. The symmetry is No. 33.

```
Li2AlNiO4
1.0
10.745 0.000 0.000
0.000 6.359 0.000
0.000 0.000 4.985
Li Al Ni O
8 4 4 16
direct
0.083 0.244 0.000
0.165 0.996 0.500
0.335 0.496 0.000
0.417 0.744 0.500
0.583 0.256 0.000
0.665 0.504 0.500
0.835 0.004 0.000
0.917 0.756 0.500
0.166 0.493 0.505
0.334 0.993 0.005
0.666 0.007 0.505
0.834 0.507 0.005
0.086 0.743 0.004
0.414 0.243 0.504
0.586 0.757 0.004
0.914 0.257 0.504
0.081 0.263 0.404
0.095 0.725 0.378
0.163 0.506 0.864
0.175 0.981 0.901
0.325 0.481 0.401
0.337 0.006 0.364
0.405 0.225 0.878
0.419 0.763 0.904
0.581 0.237 0.404
0.595 0.775 0.378
0.663 0.994 0.864
0.675 0.519 0.901
0.825 0.019 0.401
0.837 0.494 0.364
0.905 0.275 0.878
0.919 0.737 0.904
```